[1]
VASP calculation (PBE) on TiGeP2SO12 after structural relaxation.

The structure in POSCAR format:
```
TiGeP2SO12
1.0
8.4473 0.0000 0.0000
4.2214 7.3415 0.0000
0.0095 0.0141 21.8529
Ti Ge P S O
6 6 12 6 72
Direct
0.0000 0.0000 0.0000
0.0087 0.0021 0.7136
0.3174 0.3336 0.8813
0.3352 0.3309 0.6652
0.6751 0.6666 0.0502
0.9830 0.9992 0.2174
0.3274 0.3349 0.1705
0.3432 0.3318 0.3809
0.6501 0.6675 0.5435
0.6617 0.6652 0.8344
0.6646 0.6658 0.3366
0.9963 0.9946 0.5002
0.0079 0.2765 0.1096
0.0373 0.3414 0.7736
0.0478 0.6039 0.2765
0.2850 0.9928 0.6033
0.3388 0.6123 0.7741
0.3762 0.6656 0.4396
0.3869 0.9397 0.9392
0.6076 0.3423 0.2755
0.6647 0.9470 0.4400
0.7028 0.0100 0.1086
0.7204 0.2829 0.6030
0.9424 0.6691 0.9390
0.2848 0.7034 0.1085
0.3374 0.0415 0.2757
0.6204 0.0360 0.7737
0.6653 0.3782 0.9396
0.9559 0.3728 0.4398
0.9904 0.7104 0.6041
0.0169 0.1707 0.7658
0.0329 0.7848 0.5483
0.0330 0.7911 0.2661
0.0417 0.1579 0.0516
0.1254 0.4837 0.2184
0.1272 0.3700 0.7172
0.1323 0.4978 0.9319
0.1392 0.3525 0.4321
0.1543 0.5276 0.6110
0.1585 0.2997 0.8310
0.1627 0.0315 0.5466
0.1671 0.7989 0.7637
0.1712 0.5204 0.3330
0.1717 0.7832 0.0531
0.1774 0.0190 0.2678
0.1768 0.2979 0.1175
0.1879 0.8363 0.4489
0.1959 0.9620 0.9485
0.2006 0.9551 0.6605
0.2063 0.8145 0.1632
0.2983 0.1575 0.3304
0.2980 0.5217 0.1142
0.3041 0.1613 0.6144
0.3072 0.5240 0.8309
0.3567 0.4946 0.4325
0.3722 0.1264 0.9302
0.3726 0.4912 0.7170
0.3780 0.1178 0.2203
0.4595 0.7056 0.3828
0.4615 0.8212 0.8811
0.4691 0.6779 0.1001
0.4737 0.8206 0.5969
0.4883 0.3797 0.2179
0.4899 0.1342 0.4310
0.5024 0.6170 0.4961
0.5045 0.8518 0.9960
0.5053 0.1175 0.7187
0.5048 0.8608 0.2822
0.5056 0.3553 0.9315
0.5087 0.6321 0.7816
0.5160 0.1787 0.1187
0.5294 0.3048 0.6138
0.5356 0.2883 0.3319
0.5419 0.1471 0.8286
0.6257 0.8632 0.4970
0.6272 0.5109 0.2850
0.6332 0.4892 0.9940
0.6335 0.8546 0.7792
0.6825 0.8391 0.1008
0.7048 0.4533 0.8836
0.7082 0.4691 0.5938
0.7089 0.8233 0.3829
0.7915 0.0387 0.0518
0.7961 0.1600 0.5456
0.7984 0.1718 0.2664
0.8034 0.0121 0.7649
0.8247 0.7043 0.8816
0.8258 0.9678 0.1657
0.8268 0.6920 0.5950
0.8312 0.1963 0.9456
0.8352 0.9671 0.4483
0.8359 0.4636 0.0993
0.8377 0.4503 0.3848
0.8398 0.1948 0.6598
0.8496 0.5097 0.7829
0.8572 0.6257 0.2851
0.8622 0.6283 0.9961
0.8790 0.4896 0.4944
0.9562 0.8226 0.6584
0.9627 0.8363 0.9487
0.9715 0.1912 0.4462
0.9766 0.1866 0.1658
```

**Total energy after the MP2020 corrections**: -7.61 eV per atom
**Crystal system**: triclinic
**Formation energy from the elements**: -4103 kJ/mol of formula units

[2]
VASP calculation (PBE) on CaCuAsHO5 after structural relaxation.

The structure in POSCAR format:
```
CaCuAsHO5
1.0
5.8876 0.0000 0.0000
0.0000 7.4327 0.0000
0.0000 0.0000 9.4926
Ca Cu As H O
4 4 4 4 20
Direct
0.0200 0.1332 0.1792
0.4800 0.8668 0.6792
0.5200 0.3668 0.8208
0.9800 0.6332 0.3208
0.2486 0.2534 0.4992
0.2514 0.7466 0.9992
0.7486 0.2466 0.5008
0.7514 0.7534 0.0008
0.0146 0.6187 0.6635
0.4854 0.3813 0.1635
0.5146 0.8813 0.3365
0.9854 0.1187 0.8365
0.0109 0.9913 0.4833
0.4891 0.0087 0.9833
0.5109 0.5087 0.5167
0.9891 0.4913 0.0167
0.0009 0.1096 0.4329
0.0047 0.9379 0.9582
0.0843 0.7931 0.5526
0.2382 0.1371 0.7479
0.2453 0.6014 0.7739
0.2547 0.3986 0.2739
0.2619 0.8629 0.2479
0.4157 0.2069 0.0526
0.4953 0.0621 0.4582
0.4991 0.8904 0.9329
0.5009 0.3904 0.5671
0.5047 0.5621 0.0418
0.5843 0.7069 0.4474
0.7382 0.3629 0.2521
0.7453 0.8986 0.2261
0.7547 0.1014 0.7261
0.7618 0.6371 0.7521
0.9157 0.2931 0.9474
0.9953 0.4379 0.5418
0.9991 0.6096 0.0671
```

**Total energy after the MP2020 corrections**: -6.27 eV per atom
**Crystal system**: orthorhombic
**Formation energy from the elements**: -1690 kJ/mol of formula units

[3]
VASP calculation (PBE) on Lu6MnBi2 after structural relaxation.

The structure in POSCAR format:
```
Lu6MnBi2
1.0
8.1320 0.0000 0.0000
-4.0660 7.0425 0.0000
0.0000 0.0000 4.2143
Lu Mn Bi
6 1 2
Direct
0.0000 0.2307 0.0000
0.0000 0.6123 0.5000
0.2307 0.0000 0.0000
0.3877 0.3877 0.5000
0.6123 0.0000 0.5000
0.7693 0.7693 0.0000
0.0000 0.0000 0.5000
0.3333 0.6667 0.0000
0.6667 0.3333 0.0000
```

**Crystal system**: hexagonal
**Formation energy from the elements**: -343 kJ/mol of formula units

Number 1: E_tot -726.831 eV for the cell shown. Number 2: E_tot -211.910 eV for the cell shown. Number 3: E_tot -47.618 eV for the cell shown.